Entry 1:
{
  "formula": "Na4YTa3Si5SO24",
  "functional": "PBE",
  "state": "relaxed",
  "total_energy_ev_per_atom": -7.79,
  "formation_energy_ev_per_atom": -3.03,
  "lattice_angstrom": [[-5.2147, 0.5053, -7.4127], [-3.4861, -3.0088, 7.7793], [-5.8832, 21.4471, 5.5629]],
  "species": ["Na", "Na", "Na", "Na", "Na", "Na", "Na", "Na", "Na", "Na", "Na", "Na", "O", "O", "O", "O", "O", "O", "O", "O", "O", "O", "O", "O", "O", "O", "O", "O", "O", "O", "O", "O", "O", "O", "O", "O", "O", "O", "O", "O", "O", "O", "O", "O", "O", "O", "O", "O", "O", "O", "O", "O", "O", "O", "O", "O", "O", "O", "O", "O", "O", "O", "O", "O", "O", "O", "O", "O", "O", "O", "O", "O", "O", "O", "O", "O", "O", "O", "O", "O", "O", "O", "O", "O", "Si", "Si", "Si", "Si", "Si", "Si", "Si", "Si", "Si", "Si", "Si", "Si", "Si", "Si", "Si", "S", "S", "S", "Ta", "Ta", "Ta", "Ta", "Ta", "Ta", "Ta", "Ta", "Ta", "Y", "Y", "Y"],
  "fractional_positions": [[0.9875, 0.9938, 0.4973], [0.6582, 0.6814, 0.0836], [0.0227, 0.3465, 0.0833], [0.3462, 0.6763, 0.6613], [0.6667, 0.3328, 0.8346], [0.0097, 0.9954, 0.9935], [0.3797, 0.0085, 0.7471], [0.3233, 0.0269, 0.4192], [0.3296, 0.6753, 0.1675], [0.6333, 0.6234, 0.7463], [0.9906, 0.3649, 0.7516], [0.6987, 0.3395, 0.3306], [0.0233, 0.1892, 0.9098], [0.3339, 0.4898, 0.0682], [0.7972, 0.9731, 0.4208], [0.4737, 0.3043, 0.0261], [0.6350, 0.5381, 0.6467], [0.0356, 0.8359, 0.6939], [0.8400, 0.8245, 0.5887], [0.4757, 0.1638, 0.5283], [0.1596, 0.4705, 0.9725], [0.8294, 0.5358, 0.0265], [0.5076, 0.1453, 0.9247], [0.5266, 0.8184, 0.7575], [0.1835, 0.1633, 0.0903], [0.8019, 0.7909, 0.3005], [0.1910, 0.4935, 0.2538], [0.8319, 0.0145, 0.8085], [0.5125, 0.8385, 0.0692], [0.3293, 0.8405, 0.5722], [0.9962, 0.1941, 0.3058], [0.8558, 0.4796, 0.4277], [0.0214, 0.1966, 0.1910], [0.2985, 0.8309, 0.2505], [0.4927, 0.8628, 0.3589], [0.8507, 0.3118, 0.5326], [0.6959, 0.1623, 0.7497], [0.3602, 0.8655, 0.8571], [0.1578, 0.1936, 0.6939], [0.8441, 0.5274, 0.7493], [0.3623, 0.5007, 0.3605], [0.8477, 0.3370, 0.2490], [0.4663, 0.0938, 0.6449], [0.8114, 0.8346, 0.9102], [0.5349, 0.7114, 0.2519], [0.1658, 0.9772, 0.9100], [0.5104, 0.8423, 0.4732], [0.8553, 0.3624, 0.9240], [0.9035, 0.5079, 0.1365], [0.5189, 0.3770, 0.4250], [0.6400, 0.4927, 0.9234], [0.6903, 0.5230, 0.5310], [0.1602, 0.6706, 0.4742], [0.5041, 0.6408, 0.8584], [0.1812, 0.1667, 0.8081], [0.7072, 0.1728, 0.0275], [0.5011, 0.6564, 0.5730], [0.1749, 0.9756, 0.1981], [0.1845, 0.7082, 0.7574], [0.9008, 0.3615, 0.6373], [0.8077, 0.9653, 0.6940], [0.4664, 0.3074, 0.7505], [0.9725, 0.8157, 0.0931], [0.6698, 0.5382, 0.2441], [0.2923, 0.4749, 0.7576], [0.1904, 0.1880, 0.4183], [0.4536, 0.1417, 0.2449], [0.3199, 0.4822, 0.4747], [0.3125, 0.8360, 0.9700], [0.1379, 0.4976, 0.8581], [0.0376, 0.8274, 0.4154], [0.1378, 0.4813, 0.5738], [0.5286, 0.6861, 0.9727], [0.8387, 0.0198, 0.0914], [0.1540, 0.6586, 0.0676], [0.2068, 0.9998, 0.3044], [0.1351, 0.6271, 0.3599], [0.9829, 0.8149, 0.8081], [0.6189, 0.0972, 0.1405], [0.6203, 0.1426, 0.4249], [0.7922, 0.8146, 0.1946], [0.4935, 0.3959, 0.1378], [0.9777, 0.1746, 0.5851], [0.1810, 0.0289, 0.5891], [0.3664, 0.0355, 0.5837], [0.0410, 0.3775, 0.9159], [0.0404, 0.6530, 0.4197], [0.3387, 0.3826, 0.4197], [0.0074, 0.7162, 0.7532], [0.7153, 0.9943, 0.7518], [0.9645, 0.6307, 0.0811], [0.6242, 0.6639, 0.9162], [0.3772, 0.3368, 0.0810], [0.6665, 0.6339, 0.5851], [0.3360, 0.9605, 0.9154], [0.0062, 0.3051, 0.2515], [0.2782, 0.2853, 0.7519], [0.6165, 0.9594, 0.4170], [0.6603, 0.0360, 0.0813], [0.9644, 0.3319, 0.5815], [0.7011, 0.7128, 0.2487], [0.2845, 0.9897, 0.2506], [0.3329, 0.6694, 0.0152], [0.3410, 0.6747, 0.5192], [0.3232, 0.6541, 0.3168], [0.0066, 0.0149, 0.1432], [0.6674, 0.3345, 0.9776], [0.9991, 0.0003, 0.8579], [0.6595, 0.3411, 0.4788], [0.3356, 0.6673, 0.8148], [0.0023, 0.9898, 0.6463], [0.6580, 0.3303, 0.6829], [0.6724, 0.3313, 0.1814], [0.9888, 0.0038, 0.3593]]
}


Entry 2:
{
  "formula": "Na10Ca4Zn4SiS11O48",
  "functional": "PBE",
  "state": "relaxed",
  "total_energy_ev_per_atom": -5.86,
  "formation_energy_ev_per_atom": -2.25,
  "lattice_angstrom": [[18.3293, 0.0117, -0.0231], [-4.5773, 7.9070, 0.0088], [-0.0302, 0.0091, 22.3624]],
  "species": ["O", "O", "O", "O", "O", "O", "O", "O", "O", "O", "O", "O", "O", "O", "O", "O", "O", "O", "O", "O", "O", "O", "O", "O", "O", "O", "O", "O", "O", "O", "O", "O", "O", "O", "O", "O", "O", "O", "O", "O", "O", "O", "O", "O", "O", "O", "O", "O", "O", "O", "O", "O", "O", "O", "O", "O", "O", "O", "O", "O", "O", "O", "O", "O", "O", "O", "O", "O", "O", "O", "O", "O", "O", "O", "O", "O", "O", "O", "O", "O", "O", "O", "O", "O", "O", "O", "O", "O", "O", "O", "O", "O", "O", "O", "O", "O", "O", "O", "O", "O", "O", "O", "O", "O", "O", "O", "O", "O", "O", "O", "O", "O", "O", "O", "O", "O", "O", "O", "O", "O", "O", "O", "O", "O", "O", "O", "O", "O", "O", "O", "O", "O", "O", "O", "O", "O", "O", "O", "O", "O", "O", "O", "O", "O", "Na", "Na", "Na", "Na", "Na", "Na", "Na", "Na", "Na", "Na", "Na", "Na", "Na", "Na", "Na", "Na", "Na", "Na", "Na", "Na", "Na", "Na", "Na", "Na", "Na", "Na", "Na", "Na", "Na", "Na", "S", "S", "S", "S", "S", "S", "S", "S", "S", "S", "S", "S", "S", "S", "S", "S", "S", "S", "S", "S", "S", "S", "S", "S", "S", "S", "S", "S", "S", "S", "S", "S", "S", "Ca", "Ca", "Ca", "Ca", "Ca", "Ca", "Ca", "Ca", "Ca", "Ca", "Ca", "Ca", "Zn", "Zn", "Zn", "Zn", "Zn", "Zn", "Zn", "Zn", "Zn", "Zn", "Zn", "Zn", "Si", "Si", "Si"],
  "fractional_positions": [[0.4178, 0.5355, 0.7474], [0.4851, 0.1856, 0.3036], [0.9577, 0.3544, 0.6390], [0.9006, 0.8172, 0.9276], [0.0962, 0.9952, 0.5719], [0.2298, 0.1245, 0.5208], [0.1162, 0.1974, 0.8022], [0.4033, 0.8098, 0.5718], [0.9308, 0.3402, 0.5321], [0.6074, 0.2165, 0.6948], [0.5641, 0.6850, 0.4640], [0.0001, 0.8107, 0.0774], [0.3275, 0.5708, 0.6395], [0.7494, 0.8277, 0.7515], [0.1091, 0.9787, 0.1970], [0.6782, 0.4463, 0.3600], [0.8297, 0.1196, 0.0277], [0.2363, 0.3245, 0.0301], [0.7222, 0.3574, 0.1389], [0.1778, 0.4892, 0.0779], [0.8350, 0.1707, 0.7491], [0.3241, 0.5265, 0.5316], [0.5628, 0.4719, 0.9701], [0.1493, 0.4631, 0.7526], [0.9054, 0.9974, 0.0745], [0.1761, 0.9006, 0.8691], [0.7670, 0.8665, 0.4716], [0.5935, 0.1826, 0.4159], [0.2541, 0.1489, 0.9266], [0.8916, 0.7998, 0.1903], [0.6697, 0.8693, 0.9712], [0.7516, 0.6577, 0.5736], [0.2517, 0.6629, 0.5781], [0.6709, 0.4941, 0.0764], [0.3869, 0.7967, 0.1954], [0.0787, 0.5048, 0.2572], [0.8298, 0.5399, 0.5231], [0.0774, 0.6617, 0.0749], [0.4332, 0.5508, 0.0365], [0.2805, 0.6438, 0.8617], [0.8278, 0.0928, 0.1369], [0.7432, 0.3511, 0.7457], [0.7528, 0.1494, 0.9252], [0.7207, 0.0831, 0.6374], [0.0173, 0.8019, 0.6975], [0.4976, 0.1903, 0.9284], [0.5740, 0.4934, 0.5704], [0.0678, 0.6496, 0.7542], [0.1754, 0.4621, 0.3626], [0.8285, 0.5612, 0.6326], [0.7258, 0.1339, 0.2459], [0.5991, 0.0240, 0.3035], [0.1003, 0.0091, 0.9277], [0.7537, 0.8415, 0.0780], [0.8307, 0.5089, 0.9286], [0.2271, 0.1006, 0.6296], [0.9913, 0.1840, 0.5740], [0.1239, 0.0219, 0.3048], [0.9326, 0.5351, 0.0321], [0.2643, 0.6688, 0.9682], [0.4221, 0.3436, 0.9244], [0.3465, 0.5279, 0.2463], [0.8985, 0.0141, 0.8106], [0.3213, 0.1251, 0.1322], [0.7771, 0.6455, 0.8658], [0.1689, 0.8440, 0.2541], [0.4977, 0.8214, 0.4138], [0.2811, 0.8754, 0.4740], [0.0174, 0.8269, 0.4186], [0.4054, 0.7812, 0.3031], [0.4220, 0.5137, 0.4212], [0.4937, 0.8112, 0.0913], [0.5418, 0.4322, 0.8619], [0.6169, 0.1983, 0.8023], [0.9303, 0.5222, 0.4193], [0.4019, 0.9882, 0.4097], [0.7316, 0.1278, 0.5302], [0.9570, 0.5594, 0.1391], [0.4454, 0.5434, 0.1456], [0.9213, 0.3382, 0.9243], [0.4277, 0.3311, 0.5317], [0.2425, 0.3483, 0.7457], [0.7494, 0.6786, 0.2496], [0.4084, 0.0125, 0.0887], [0.8906, 0.9835, 0.6898], [0.5707, 0.4525, 0.2510], [0.5169, 0.8013, 0.6977], [0.2487, 0.8291, 0.7514], [0.4588, 0.3576, 0.6381], [0.1790, 0.8532, 0.5718], [0.0200, 0.2538, 0.1970], [0.6371, 0.8315, 0.2522], [0.3231, 0.1376, 0.4183], [0.5707, 0.6589, 0.0859], [0.3307, 0.5093, 0.9283], [0.6599, 0.4521, 0.4674], [0.4993, 0.7837, 0.8053], [0.3903, 0.9847, 0.6896], [0.5889, 0.9886, 0.1950], [0.2549, 0.8626, 0.0807], [0.8310, 0.4985, 0.2498], [0.0010, 0.2245, 0.3048], [0.5938, 0.9883, 0.5755], [0.6763, 0.8458, 0.5744], [0.9986, 0.1893, 0.9277], [0.7480, 0.3470, 0.4230], [0.1069, 0.2147, 0.6947], [0.9036, 0.8127, 0.5703], [0.0426, 0.4312, 0.8619], [0.0757, 0.4920, 0.5730], [0.9173, 0.5362, 0.7466], [0.1080, 0.1823, 0.0834], [0.3984, 0.0158, 0.8104], [0.7232, 0.3176, 0.0317], [0.0623, 0.4698, 0.9701], [0.3340, 0.1708, 0.7486], [0.3433, 0.1258, 0.0250], [0.8974, 0.7827, 0.3103], [0.6767, 0.9104, 0.8637], [0.6497, 0.4643, 0.7530], [0.0713, 0.6680, 0.4674], [0.9991, 0.7836, 0.8051], [0.1700, 0.4596, 0.4721], [0.2502, 0.3501, 0.4176], [0.5896, 0.1855, 0.0838], [0.0565, 0.6527, 0.3587], [0.5022, 0.1979, 0.1947], [0.4017, 0.8170, 0.9257], [0.1696, 0.8784, 0.9778], [0.5681, 0.6501, 0.7541], [0.9006, 0.9797, 0.4241], [0.2385, 0.3605, 0.1386], [0.4931, 0.1852, 0.5739], [0.7758, 0.9047, 0.3634], [0.7656, 0.6616, 0.9741], [0.2580, 0.8747, 0.3667], [0.2482, 0.1534, 0.2436], [0.5992, 0.0068, 0.9265], [0.1002, 0.1959, 0.4191], [0.5399, 0.6493, 0.3562], [0.8323, 0.1512, 0.4256], [0.2647, 0.6712, 0.2573], [0.9268, 0.3299, 0.2492], [0.4192, 0.3089, 0.2445], [0.3236, 0.6683, 0.7432], [0.1672, 0.6662, 0.6630], [0.3349, 0.9752, 0.5873], [0.3335, 0.3342, 0.8373], [0.1871, 0.6555, 0.1696], [0.6655, 0.6669, 0.6625], [0.1728, 0.0363, 0.4195], [0.8324, 0.3357, 0.3357], [0.8502, 0.6677, 0.4074], [0.1833, 0.0008, 0.7502], [0.8317, 0.9694, 0.5908], [0.9969, 0.6575, 0.2590], [0.8216, 0.9803, 0.2448], [0.0090, 0.0279, 0.4991], [0.6803, 0.3649, 0.2499], [0.9890, 0.3318, 0.7564], [0.8331, 0.3329, 0.8367], [0.3341, 0.3356, 0.3332], [0.8471, 0.0259, 0.9085], [0.3475, 0.0258, 0.9129], [0.5091, 0.9958, 0.0083], [0.4888, 0.3316, 0.7567], [0.8229, 0.6675, 0.7436], [0.6612, 0.6551, 0.1634], [0.5103, 0.9973, 0.4928], [0.6829, 0.9994, 0.7498], [0.8324, 0.6926, 0.0926], [0.4941, 0.6179, 0.2464], [0.0100, 0.0215, 0.0010], [0.1572, 0.9702, 0.0794], [0.6750, 0.3342, 0.0817], [0.0195, 0.6641, 0.4164], [0.5005, 0.6943, 0.7511], [0.3272, 0.6397, 0.5792], [0.8183, 0.9770, 0.4216], [0.6534, 0.3059, 0.7489], [0.0077, 0.3607, 0.9218], [0.3189, 0.6566, 0.9218], [0.6726, 0.9820, 0.9226], [0.5065, 0.6678, 0.4145], [0.8282, 0.6399, 0.5745], [0.6678, 0.3545, 0.4176], [0.0080, 0.3272, 0.2522], [0.6797, 0.0126, 0.5784], [0.4849, 0.6397, 0.0894], [0.4926, 0.2808, 0.2483], [0.4890, 0.3439, 0.5776], [0.3169, 0.9674, 0.4169], [0.9899, 0.3462, 0.5787], [0.1531, 0.3047, 0.7488], [0.0004, 0.6940, 0.7508], [0.9911, 0.6378, 0.0802], [0.1823, 0.0199, 0.5731], [0.6362, 0.9943, 0.2493], [0.3511, 0.6969, 0.2507], [0.3337, 0.0332, 0.0819], [0.8177, 0.6561, 0.9247], [0.1741, 0.3723, 0.4180], [0.1919, 0.3427, 0.0821], [0.1636, 0.0016, 0.2499], [0.1739, 0.9835, 0.9257], [0.5082, 0.3621, 0.9221], [0.8293, 0.0164, 0.0786], [0.6660, 0.6643, 0.8257], [0.9997, 0.9977, 0.6447], [0.5008, 0.0015, 0.8555], [0.3358, 0.3373, 0.6744], [0.6625, 0.6641, 0.3223], [0.0012, 0.0004, 0.8553], [0.8335, 0.3315, 0.6742], [0.0029, 0.0082, 0.3488], [0.8328, 0.3346, 0.1780], [0.0032, 0.0129, 0.1520], [0.4994, 0.9984, 0.6448], [0.1677, 0.6633, 0.8257], [0.3423, 0.3441, 0.9900], [0.4917, 0.9945, 0.3499], [0.1666, 0.6559, 0.0167], [0.6581, 0.6629, 0.0191], [0.1752, 0.6646, 0.3185], [0.4884, 0.9883, 0.1503], [0.8312, 0.3303, 0.4853], [0.6586, 0.6588, 0.5085], [0.3370, 0.3480, 0.4821], [0.3327, 0.3304, 0.1797], [0.1702, 0.6636, 0.5110], [0.8287, 0.3338, 0.9885], [0.8424, 0.6891, 0.2500], [0.3436, 0.0001, 0.7501], [0.8438, 0.9992, 0.7502]]
}


Entry 3:
{
  "formula": "LiNbTe3O12",
  "functional": "PBE",
  "state": "relaxed",
  "total_energy_ev_per_atom": -6.07,
  "piezo_max_c_m2": 0.3,
  "formation_energy_ev_per_atom": -1.80,
  "relative_energy_mev_per_atom": 0,
  "lattice_angstrom": [[8.5343, 0.0000, 0.0000], [0.0000, 5.0042, 0.0000], [0.0000, 0.0943, 5.2908]],
  "species": ["O", "O", "O", "O", "O", "O", "O", "O", "O", "O", "O", "O", "Nb", "Te", "Te", "Te", "Li"],
  "fractional_positions": [[0.5683, 0.2979, 0.3231], [0.2472, 0.2490, 0.3619], [0.4159, 0.7097, 0.1835], [0.2472, 0.7510, 0.6381], [0.0672, 0.1983, 0.8044], [0.0672, 0.8017, 0.1956], [0.4159, 0.2903, 0.8165], [0.5683, 0.7021, 0.6769], [0.7402, 0.2674, 0.8777], [0.9245, 0.7853, 0.6765], [0.7402, 0.7326, 0.1223], [0.9245, 0.2147, 0.3235], [0.8982, 0.0000, 0.0000], [0.3950, 0.5000, 0.5000], [0.0870, 0.0000, 0.5000], [0.5774, 0.5000, 0.0000], [0.8014, 0.5000, 0.5000]]
}


Entry 4:
{
  "formula": "TmMg3",
  "functional": "PBE",
  "state": "relaxed",
  "total_energy_ev_per_atom": -2.34,
  "formation_energy_ev_per_atom": -0.02,
  "lattice_angstrom": [[-0.2276, -4.1114, 2.7814], [3.5634, 1.8031, 2.9568], [-2.8109, 1.7326, 2.3310]],
  "species": ["Mg", "Mg", "Mg", "Tm"],
  "fractional_positions": [[0.5000, 0.0000, 0.5000], [0.0000, 0.0000, 0.0000], [0.0000, 0.5000, 0.5000], [0.5000, 0.5000, 0.0000]]
}


Entry 5:
{
  "formula": "ScBrO",
  "functional": "PBE",
  "state": "relaxed",
  "total_energy_ev_per_atom": -7.02,
  "formation_energy_ev_per_atom": -2.95,
  "lattice_angstrom": [[-1.8351, 0.7394, 3.0501], [-1.3315, -3.3829, 0.0190], [6.6984, -2.6104, 4.6630]],
  "species": ["O", "O", "Br", "Br", "Sc", "Sc"],
  "fractional_positions": [[0.0000, 0.0000, 0.0000], [0.5000, 0.5000, 0.0000], [0.5000, 0.0000, 0.3180], [0.0000, 0.5000, 0.6820], [0.0000, 0.5000, 0.1213], [0.5000, 0.0000, 0.8787]]
}


Entry 6:
{
  "formula": "Lu3U",
  "functional": "PBE",
  "state": "relaxed",
  "total_energy_ev_per_atom": -5.83,
  "formation_energy_ev_per_atom": 0.39,
  "lattice_angstrom": [[3.4456, -5.9679, 0.0000], [3.4456, 5.9679, 0.0000], [0.0000, 0.0000, 5.5342]],
  "species": ["Lu", "Lu", "Lu", "Lu", "Lu", "Lu", "U", "U"],
  "fractional_positions": [[0.1689, 0.3379, 0.2500], [0.3379, 0.1689, 0.7500], [0.6621, 0.8311, 0.2500], [0.8311, 0.1689, 0.7500], [0.8311, 0.6621, 0.7500], [0.1689, 0.8311, 0.2500], [0.6667, 0.3333, 0.2500], [0.3333, 0.6667, 0.7500]]
}